A geometry-optimized Zr6Ni16Ge7 structure. Source: Materials Project, functional GGA-PBE.

Volume in Å³/atom: 13.78
Space-group type: Fm-3m
E_tot in eV per atom: -6.6636
ΔE_f in meV/atom: -590

Unit cell a=8.268 b=8.268 c=8.268 alpha=60.00 beta=60.00 gamma=60.00
Sites, in units of the cell vectors:
Zr 0.206 0.206 0.794
Zr 0.206 0.794 0.206
Zr 0.206 0.794 0.794
Zr 0.794 0.206 0.206
Zr 0.794 0.206 0.794
Zr 0.794 0.794 0.206
Ni 0.144 0.619 0.619
Ni 0.169 0.169 0.169
Ni 0.169 0.169 0.493
Ni 0.169 0.493 0.169
Ni 0.381 0.381 0.381
Ni 0.381 0.381 0.856
Ni 0.381 0.856 0.381
Ni 0.493 0.169 0.169
Ni 0.507 0.831 0.831
Ni 0.619 0.144 0.619
Ni 0.619 0.619 0.144
Ni 0.619 0.619 0.619
Ni 0.831 0.507 0.831
Ni 0.831 0.831 0.507
Ni 0.831 0.831 0.831
Ni 0.856 0.381 0.381
Ge 0.000 0.000 0.500
Ge 0.000 0.500 0.000
Ge 0.000 0.500 0.500
Ge 0.500 0.000 0.000
Ge 0.500 0.000 0.500
Ge 0.500 0.500 0.000
Ge 0.500 0.500 0.500